# Na42Mg20Nb4Si15S21O144 | Materials Project | PBE | relaxed
data_Na42Mg20Nb4Si15S21O144
_chemical_formula_sum 'Na42 Mg20 Nb4 Si15 S21 O144'
_cell_length_a 9.058
_cell_length_b 15.789
_cell_length_c 22.123
_cell_angle_alpha 90.22
_cell_angle_beta 90.06
_cell_angle_gamma 90.08
_symmetry_space_group_name_H-M 'P 1'
_symmetry_Int_Tables_number 1
loop_
_symmetry_equiv_pos_as_xyz
'x,y,z'
loop_
_atom_site_label
_atom_site_type_symbol
_atom_site_fract_x
_atom_site_fract_y
_atom_site_fract_z
_atom_site_occupancy
Na1 Na 0.000 0.000 0.000 1
Na2 Na 0.000 0.028 0.667 1
Na3 Na 0.006 0.711 0.333 1
Na4 Na 0.007 0.392 0.011 1
Na5 Na 0.010 0.341 0.335 1
Na6 Na 0.135 0.839 0.835 1
Na7 Na 0.136 0.890 0.516 1
Na8 Na 0.140 0.213 0.832 1
Na9 Na 0.145 0.501 0.504 1
Na10 Na 0.146 0.528 0.163 1
Na11 Na 0.173 0.196 0.505 1
Na12 Na 0.205 0.530 0.845 1
Na13 Na 0.310 0.687 0.759 1
Na14 Na 0.314 0.366 0.429 1
Na15 Na 0.325 0.010 0.086 1
Na16 Na 0.330 0.023 0.591 1
Na17 Na 0.339 0.380 0.922 1
Na18 Na 0.350 0.697 0.245 1
Na19 Na 0.450 0.527 0.332 1
Na20 Na 0.461 0.877 0.667 1
Na21 Na 0.467 0.197 0.998 1
Na22 Na 0.498 0.506 0.999 1
Na23 Na 0.505 0.212 0.336 1
Na24 Na 0.506 0.884 0.014 1
Na25 Na 0.509 0.841 0.333 1
Na26 Na 0.514 0.531 0.679 1
Na27 Na 0.631 0.357 0.835 1
Na28 Na 0.635 0.029 0.161 1
Na29 Na 0.636 0.696 0.833 1
Na30 Na 0.639 0.387 0.518 1
Na31 Na 0.648 0.003 0.514 1
Na32 Na 0.680 0.695 0.503 1
Na33 Na 0.682 0.379 0.163 1
Na34 Na 0.694 0.026 0.832 1
Na35 Na 0.793 0.202 0.748 1
Na36 Na 0.813 0.524 0.087 1
Na37 Na 0.815 0.867 0.429 1
Na38 Na 0.822 0.511 0.590 1
Na39 Na 0.829 0.863 0.927 1
Na40 Na 0.850 0.199 0.251 1
Na41 Na 0.953 0.029 0.346 1
Na42 Na 0.972 0.694 0.998 1
Mg1 Mg 0.312 0.367 0.257 1
Mg2 Mg 0.318 0.024 0.443 1
Mg3 Mg 0.318 0.691 0.904 1
Mg4 Mg 0.320 0.021 0.232 1
Mg5 Mg 0.321 0.373 0.069 1
Mg6 Mg 0.325 0.366 0.570 1
Mg7 Mg 0.326 0.027 0.731 1
Mg8 Mg 0.331 0.022 0.942 1
Mg9 Mg 0.331 0.692 0.407 1
Mg10 Mg 0.342 0.367 0.767 1
Mg11 Mg 0.810 0.859 0.261 1
Mg12 Mg 0.811 0.521 0.737 1
Mg13 Mg 0.812 0.194 0.905 1
Mg14 Mg 0.816 0.521 0.939 1
Mg15 Mg 0.816 0.522 0.443 1
Mg16 Mg 0.819 0.864 0.069 1
Mg17 Mg 0.821 0.527 0.230 1
Mg18 Mg 0.824 0.871 0.571 1
Mg19 Mg 0.832 0.196 0.410 1
Mg20 Mg 0.832 0.866 0.760 1
Nb1 Nb 0.320 0.698 0.105 1
Nb2 Nb 0.329 0.699 0.603 1
Nb3 Nb 0.819 0.199 0.102 1
Nb4 Nb 0.829 0.198 0.606 1
Si1 Si 0.027 0.358 0.171 1
Si2 Si 0.118 0.859 0.671 1
Si3 Si 0.169 0.546 0.999 1
Si4 Si 0.171 0.842 0.997 1
Si5 Si 0.470 0.544 0.498 1
Si6 Si 0.474 0.513 0.171 1
Si7 Si 0.478 0.844 0.496 1
Si8 Si 0.522 0.531 0.836 1
Si9 Si 0.522 0.864 0.171 1
Si10 Si 0.620 0.364 0.669 1
Si11 Si 0.665 0.345 0.997 1
Si12 Si 0.671 0.012 0.670 1
Si13 Si 0.676 0.044 0.999 1
Si14 Si 0.971 0.046 0.498 1
Si15 Si 0.977 0.344 0.498 1
S1 S 0.032 0.030 0.837 1
S2 S 0.033 0.694 0.500 1
S3 S 0.113 0.194 0.000 1
S4 S 0.113 0.530 0.337 1
S5 S 0.170 0.511 0.669 1
S6 S 0.170 0.880 0.336 1
S7 S 0.178 0.216 0.671 1
S8 S 0.182 0.172 0.335 1
S9 S 0.464 0.172 0.837 1
S10 S 0.468 0.212 0.170 1
S11 S 0.475 0.880 0.836 1
S12 S 0.532 0.194 0.500 1
S13 S 0.614 0.696 0.002 1
S14 S 0.616 0.031 0.335 1
S15 S 0.672 0.377 0.336 1
S16 S 0.680 0.714 0.667 1
S17 S 0.682 0.674 0.337 1
S18 S 0.962 0.674 0.835 1
S19 S 0.971 0.010 0.171 1
S20 S 0.971 0.715 0.170 1
S21 S 0.972 0.377 0.836 1
O1 O 0.005 0.871 0.329 1
O2 O 0.008 0.207 0.667 1
O3 O 0.010 0.183 0.054 1
O4 O 0.012 0.527 0.676 1
O5 O 0.017 0.181 0.336 1
O6 O 0.018 0.524 0.391 1
O7 O 0.019 0.869 0.611 1
O8 O 0.021 0.537 0.282 1
O9 O 0.024 0.207 0.945 1
O10 O 0.032 0.842 0.733 1
O11 O 0.110 0.339 0.235 1
O12 O 0.121 0.708 0.444 1
O13 O 0.124 0.037 0.782 1
O14 O 0.125 0.688 0.836 1
O15 O 0.126 0.024 0.892 1
O16 O 0.128 0.367 0.112 1
O17 O 0.131 0.026 0.177 1
O18 O 0.135 0.365 0.829 1
O19 O 0.135 0.683 0.553 1
O20 O 0.138 0.707 0.167 1
O21 O 0.152 0.045 0.500 1
O22 O 0.153 0.347 0.511 1
O23 O 0.197 0.462 0.613 1
O24 O 0.198 0.929 0.392 1
O25 O 0.199 0.114 0.998 1
O26 O 0.202 0.788 0.937 1
O27 O 0.207 0.266 0.726 1
O28 O 0.207 0.609 0.339 1
O29 O 0.208 0.453 0.336 1
O30 O 0.210 0.267 0.009 1
O31 O 0.216 0.609 0.059 1
O32 O 0.219 0.119 0.282 1
O33 O 0.226 0.943 0.674 1
O34 O 0.231 0.128 0.676 1
O35 O 0.233 0.255 0.615 1
O36 O 0.234 0.773 0.661 1
O37 O 0.234 0.792 0.338 1
O38 O 0.237 0.132 0.391 1
O39 O 0.237 0.923 0.283 1
O40 O 0.238 0.451 0.006 1
O41 O 0.239 0.471 0.722 1
O42 O 0.245 0.937 0.000 1
O43 O 0.247 0.588 0.942 1
O44 O 0.251 0.596 0.663 1
O45 O 0.253 0.257 0.332 1
O46 O 0.253 0.788 0.054 1
O47 O 0.388 0.606 0.160 1
O48 O 0.391 0.477 0.232 1
O49 O 0.392 0.585 0.439 1
O50 O 0.394 0.257 0.833 1
O51 O 0.399 0.788 0.556 1
O52 O 0.400 0.450 0.506 1
O53 O 0.402 0.937 0.500 1
O54 O 0.405 0.796 0.840 1
O55 O 0.410 0.133 0.894 1
O56 O 0.412 0.125 0.177 1
O57 O 0.412 0.446 0.832 1
O58 O 0.412 0.923 0.782 1
O59 O 0.414 0.251 0.115 1
O60 O 0.417 0.618 0.839 1
O61 O 0.417 0.778 0.160 1
O62 O 0.420 0.609 0.557 1
O63 O 0.420 0.949 0.173 1
O64 O 0.427 0.117 0.785 1
O65 O 0.433 0.267 0.507 1
O66 O 0.440 0.789 0.437 1
O67 O 0.442 0.115 0.495 1
O68 O 0.446 0.265 0.225 1
O69 O 0.447 0.450 0.114 1
O70 O 0.448 0.933 0.891 1
O71 O 0.489 0.345 0.008 1
O72 O 0.496 0.026 0.676 1
O73 O 0.496 0.046 0.002 1
O74 O 0.508 0.367 0.331 1
O75 O 0.508 0.704 0.664 1
O76 O 0.514 0.684 0.055 1
O77 O 0.516 0.374 0.610 1
O78 O 0.517 0.683 0.337 1
O79 O 0.522 0.038 0.281 1
O80 O 0.524 0.020 0.390 1
O81 O 0.526 0.710 0.947 1
O82 O 0.534 0.345 0.731 1
O83 O 0.608 0.848 0.235 1
O84 O 0.620 0.208 0.444 1
O85 O 0.622 0.546 0.776 1
O86 O 0.626 0.514 0.896 1
O87 O 0.629 0.181 0.838 1
O88 O 0.631 0.182 0.552 1
O89 O 0.633 0.877 0.114 1
O90 O 0.639 0.203 0.166 1
O91 O 0.639 0.870 0.831 1
O92 O 0.649 0.545 0.501 1
O93 O 0.650 0.526 0.177 1
O94 O 0.655 0.844 0.507 1
O95 O 0.696 0.952 0.612 1
O96 O 0.700 0.766 0.722 1
O97 O 0.702 0.429 0.391 1
O98 O 0.703 0.287 0.940 1
O99 O 0.705 0.618 0.999 1
O100 O 0.708 0.110 0.338 1
O101 O 0.711 0.770 0.010 1
O102 O 0.717 0.955 0.332 1
O103 O 0.722 0.621 0.285 1
O104 O 0.724 0.106 0.060 1
O105 O 0.726 0.447 0.672 1
O106 O 0.728 0.277 0.657 1
O107 O 0.729 0.756 0.612 1
O108 O 0.735 0.419 0.282 1
O109 O 0.737 0.635 0.394 1
O110 O 0.739 0.290 0.340 1
O111 O 0.739 0.628 0.671 1
O112 O 0.744 0.288 0.058 1
O113 O 0.745 0.950 0.006 1
O114 O 0.747 0.435 0.004 1
O115 O 0.752 0.760 0.333 1
O116 O 0.754 0.087 0.941 1
O117 O 0.755 0.975 0.730 1
O118 O 0.759 0.106 0.659 1
O119 O 0.887 0.759 0.831 1
O120 O 0.892 0.094 0.167 1
O121 O 0.894 0.287 0.553 1
O122 O 0.895 0.086 0.438 1
O123 O 0.901 0.437 0.500 1
O124 O 0.903 0.290 0.839 1
O125 O 0.904 0.951 0.505 1
O126 O 0.906 0.420 0.784 1
O127 O 0.907 0.968 0.226 1
O128 O 0.909 0.635 0.892 1
O129 O 0.910 0.272 0.163 1
O130 O 0.912 0.756 0.117 1
O131 O 0.915 0.627 0.176 1
O132 O 0.920 0.442 0.175 1
O133 O 0.925 0.110 0.556 1
O134 O 0.929 0.620 0.782 1
O135 O 0.935 0.767 0.508 1
O136 O 0.936 0.953 0.836 1
O137 O 0.938 0.108 0.839 1
O138 O 0.943 0.764 0.227 1
O139 O 0.943 0.960 0.116 1
O140 O 0.945 0.615 0.497 1
O141 O 0.950 0.426 0.893 1
O142 O 0.951 0.291 0.436 1
O143 O 0.989 0.545 0.000 1
O144 O 0.993 0.846 0.010 1
# Calculated total energy = -1527.35 eV per cell
# Energy of formation = -2.510 eV/atom

# Y2TeO6 | Materials Project | PBE | relaxed
data_Y2TeO6
_chemical_formula_sum 'Y6 Te3 O18'
_cell_length_a 9.2102
_cell_length_b 9.2102
_cell_length_c 5.2177
_cell_angle_alpha 90.00
_cell_angle_beta 90.00
_cell_angle_gamma 120.00
_symmetry_space_group_name_H-M 'P 3 2 1'
_symmetry_Int_Tables_number 150
loop_
_symmetry_equiv_pos_as_xyz
'x,y,z'
'-y,x-y,z'
'-x+y,-x,z'
'y,x,-z'
'x-y,-y,-z'
'-x,-x+y,-z'
loop_
_atom_site_label
_atom_site_type_symbol
_atom_site_fract_x
_atom_site_fract_y
_atom_site_fract_z
_atom_site_occupancy
Y1 Y 0.0000 0.2842 0.0000 1
Y2 Y 0.0000 0.6218 0.5000 1
Te1 Te 0.0000 0.0000 0.5000 1
Te2 Te 0.3333 0.6667 0.0055 1
O1 O 0.0799 0.8799 0.2897 1
O2 O 0.1334 0.5429 0.2191 1
O3 O 0.2224 0.7576 0.7928 1
# Calculated total energy = -205.90 eV per cell
# Energy of formation = -2.999 eV/atom

# KZrS2 | Materials Project | PBE | relaxed
data_KZrS2
_chemical_formula_sum 'K3 Zr3 S6'
_cell_length_a 3.7672
_cell_length_b 3.7672
_cell_length_c 22.3587
_cell_angle_alpha 90.00
_cell_angle_beta 90.00
_cell_angle_gamma 120.00
_symmetry_space_group_name_H-M 'R -3 m'
_symmetry_Int_Tables_number 166
_symmetry_space_group_name_Hall '-R 3 2"'
loop_
_atom_site_label
_atom_site_type_symbol
_atom_site_fract_x
_atom_site_fract_y
_atom_site_fract_z
_atom_site_occupancy
K1 K 0.0000 0.0000 0.0000 1
Zr1 Zr 0.0000 0.0000 0.5000 1
S1 S 0.0000 0.0000 0.2336 1
# Calculated total energy = -71.71 eV per cell
# Energy of formation = -1.745 eV/atom

# LaFe9 | Materials Project | PBE | relaxed
data_LaFe9
_chemical_formula_sum 'La4 Fe36'
_cell_length_a 12.000
_cell_length_b 7.577
_cell_length_c 8.486
_cell_angle_alpha 90.00
_cell_angle_beta 135.00
_cell_angle_gamma 90.00
_symmetry_space_group_name_H-M 'C 1 2/m 1'
_symmetry_Int_Tables_number 12
loop_
_symmetry_equiv_pos_as_xyz
'x,y,z'
'-x,-y,-z'
'-x,y,-z'
'x,-y,z'
'x+1/2,y+1/2,z'
'-x+1/2,-y+1/2,-z'
'-x+1/2,y+1/2,-z'
'x+1/2,-y+1/2,z'
loop_
_atom_site_label
_atom_site_type_symbol
_atom_site_fract_x
_atom_site_fract_y
_atom_site_fract_z
_atom_site_occupancy
La1 La 0.000 0.250 0.000 1
Fe1 Fe 0.000 0.000 0.500 1
Fe2 Fe 0.000 0.500 0.500 1
Fe3 Fe 0.080 0.000 0.305 1
Fe4 Fe 0.080 0.500 0.856 1
Fe5 Fe 0.156 0.191 0.813 1
Fe6 Fe 0.157 0.311 0.500 1
Fe7 Fe 0.224 0.000 0.144 1
Fe8 Fe 0.225 0.500 0.304 1
# Calculated total energy = -316.06 eV per cell
# Energy of formation = 0.215 eV/atom

# Rb2AgSbCl6 | Materials Project | PBE | relaxed
data_Rb2AgSbCl6
_chemical_formula_sum 'Rb8 Ag4 Sb4 Cl24'
_cell_length_a 10.760
_cell_length_b 10.760
_cell_length_c 10.760
_cell_angle_alpha 90.00
_cell_angle_beta 90.00
_cell_angle_gamma 90.00
_symmetry_space_group_name_H-M 'F m -3 m'
_symmetry_Int_Tables_number 225
_symmetry_space_group_name_Hall '-F 4 2 3'
loop_
_atom_site_label
_atom_site_type_symbol
_atom_site_fract_x
_atom_site_fract_y
_atom_site_fract_z
_atom_site_occupancy
Rb1 Rb 0.250 0.250 0.250 1
Ag1 Ag 0.000 0.000 0.000 1
Sb1 Sb 0.000 0.000 0.500 1
Cl1 Cl 0.000 0.000 0.253 1
# Calculated total energy = -129.99 eV per cell
# Energy of formation = -1.617 eV/atom

# In3NO3 | Materials Project | PBE | relaxed
data_In3NO3
_chemical_formula_sum 'In12 N4 O12'
_cell_length_a 6.563
_cell_length_b 9.256
_cell_length_c 6.597
_cell_angle_alpha 90.00
_cell_angle_beta 90.00
_cell_angle_gamma 90.00
_symmetry_space_group_name_H-M 'I m a 2'
_symmetry_Int_Tables_number 46
loop_
_symmetry_equiv_pos_as_xyz
'x,y,z'
'-x,-y,z'
'-x+1/2,y,z'
'x+1/2,-y,z'
'x+1/2,y+1/2,z+1/2'
'-x+1/2,-y+1/2,z+1/2'
'-x,y+1/2,z+1/2'
'x,-y+1/2,z+1/2'
loop_
_atom_site_label
_atom_site_type_symbol
_atom_site_fract_x
_atom_site_fract_y
_atom_site_fract_z
_atom_site_occupancy
In1 In 0.000 0.000 0.000 1
In2 In 0.250 0.116 0.521 1
In3 In 0.250 0.747 0.258 1
N1 N 0.250 0.514 0.282 1
O1 O 0.012 0.746 0.510 1
O2 O 0.250 0.512 0.743 1
# Polymorph energy (0 for the lowest one) = 20 meV/atom
# Calculated total energy = -154.96 eV per cell
# Energy of formation = -1.338 eV/atom

# NaCaAlF6 | Materials Project | PBE | relaxed
data_NaCaAlF6
_chemical_formula_sum 'Na8 Ca8 Al8 F48'
_cell_length_a 8.861
_cell_length_b 5.261
_cell_length_c 20.598
_cell_angle_alpha 90.00
_cell_angle_beta 91.69
_cell_angle_gamma 90.00
_symmetry_space_group_name_H-M 'P 1 21/c 1'
_symmetry_Int_Tables_number 14
loop_
_symmetry_equiv_pos_as_xyz
'x,y,z'
'-x,-y,-z'
'-x,y+1/2,-z+1/2'
'x,-y+1/2,z+1/2'
loop_
_atom_site_label
_atom_site_type_symbol
_atom_site_fract_x
_atom_site_fract_y
_atom_site_fract_z
_atom_site_occupancy
Na1 Na 0.024 0.242 0.318 1
Na2 Na 0.042 0.208 0.062 1
Ca1 Ca 0.362 0.240 0.689 1
Ca2 Ca 0.366 0.188 0.936 1
Al1 Al 0.255 0.691 0.072 1
Al2 Al 0.256 0.748 0.320 1
F1 F 0.080 0.717 0.533 1
F2 F 0.095 0.637 0.775 1
F3 F 0.154 0.556 0.380 1
F4 F 0.160 0.009 0.632 1
F5 F 0.234 0.535 0.627 1
F6 F 0.244 0.021 0.373 1
F7 F 0.255 0.039 0.770 1
F8 F 0.265 0.090 0.519 1
F9 F 0.374 0.626 0.517 1
F10 F 0.393 0.590 0.766 1
F11 F 0.429 0.623 0.363 1
F12 F 0.433 0.598 0.114 1
# Polymorph energy (0 for the lowest one) = 11 meV/atom
# Calculated total energy = -401.45 eV per cell
# Energy of formation = -3.821 eV/atom